(1)
Density functional theory data (GGA-PBE) for a relaxed structure of Ba2LiEuCu4O8.

Results
As for the symmetry: P1 (1). Its polymorph energy (0 for the lowest one) is 0.000 eV per atom. The calculation puts the size of the total moment at 0.46 μB/atom.

a b c (Å): 3.9021 3.9435 14.5748
angles (deg): 90.58 97.16 90.02
Fractional positions:
1 Ba 0.0000 0.0000 0.0000
2 Ba 0.1917 0.5173 0.4120
3 Li 0.4274 0.5008 0.8576
4 Eu 0.3113 0.5300 0.6670
5 Cu 0.5562 0.5057 0.1252
6 Cu 0.6241 0.0106 0.2652
7 Cu 0.7575 0.0264 0.5549
8 Cu 0.8745 0.0252 0.7831
9 O 0.2633 0.0267 0.5674
10 O 0.3773 0.0256 0.7888
11 O 0.4929 0.5021 0.9930
12 O 0.5616 0.0059 0.1338
13 O 0.6187 0.5101 0.2558
14 O 0.6834 0.0155 0.3923
15 O 0.7644 0.5269 0.5672
16 O 0.8783 0.5253 0.7902

(2)
Density functional theory data (GGA-PBE) for a relaxed structure of Ba2LiEuCu4O8.

Results
As for the symmetry: Pm (6). Its polymorph energy (0 for the lowest one) is 0.092 eV per atom. The calculation puts the size of the total moment at 0.43 μB/atom.

a b c (Å): 3.9052 4.0119 15.1081
angles (deg): 90.00 91.45 90.00
Fractional positions:
1 Ba 0.0000 0.0000 0.0000
2 Ba 0.0468 0.0000 0.4822
3 Li 0.5831 0.5000 0.8615
4 Eu 0.0085 0.0000 0.2393
5 Cu 0.0815 0.5000 0.7563
6 Cu 0.4977 0.5000 0.1271
7 Cu 0.5223 0.5000 0.3457
8 Cu 0.5670 0.5000 0.6209
9 O 0.0211 0.5000 0.3329
10 O 0.0686 0.5000 0.6301
11 O 0.0924 0.5000 0.8864
12 O 0.4971 0.0000 0.1198
13 O 0.5191 0.0000 0.3338
14 O 0.5512 0.5000 0.4992
15 O 0.5810 0.5000 0.7441
16 O 0.9970 0.5000 0.1269

(3)
Density functional theory data (GGA-PBE) for a relaxed structure of Ba2LiEuCu4O8.

Results
As for the symmetry: Cm (8). Its polymorph energy (0 for the lowest one) is 0.157 eV per atom. The calculation puts the size of the total moment at 0.38 μB/atom.

a b c (Å): 13.8233 13.8233 4.0488
angles (deg): 90.29 90.29 163.35
Fractional positions:
1 Ba 0.1379 0.8621 0.0000
2 Ba 0.8621 0.1379 0.0000
3 Li 0.3229 0.3229 0.6814
4 Eu 0.9170 0.9170 0.0895
5 Cu 0.2788 0.7069 0.5094
6 Cu 0.4337 0.5761 0.4978
7 Cu 0.5761 0.4337 0.4978
8 Cu 0.7069 0.2788 0.5094
9 O 0.0580 0.9472 0.5261
10 O 0.2099 0.7753 0.5109
11 O 0.3463 0.6400 0.5073
12 O 0.4217 0.5337 0.0007
13 O 0.5337 0.4217 0.0007
14 O 0.6400 0.3463 0.5073
15 O 0.7753 0.2099 0.5109
16 O 0.9472 0.0580 0.5261

(4)
Density functional theory data (GGA-PBE) for a relaxed structure of Ba2LiEuCu4O8.

Results
As for the symmetry: P2/m (10). Its polymorph energy (0 for the lowest one) is 0.072 eV per atom. The calculation puts the size of the total moment at 0.46 μB/atom.

a b c (Å): 3.9364 3.8460 14.6118
angles (deg): 90.00 97.15 90.00
Fractional positions:
1 Ba 0.1199 0.0000 0.2561
2 Ba 0.8801 0.0000 0.7439
3 Li 0.0000 0.0000 0.5000
4 Eu 0.0000 0.0000 0.0000
5 Cu 0.3110 0.5000 0.5781
6 Cu 0.4456 0.5000 0.8849
7 Cu 0.5544 0.5000 0.1151
8 Cu 0.6890 0.5000 0.4219
9 O 0.0514 0.5000 0.1085
10 O 0.2065 0.5000 0.4438
11 O 0.3684 0.5000 0.7051
12 O 0.4494 0.0000 0.8932
13 O 0.5506 0.0000 0.1068
14 O 0.6316 0.5000 0.2949
15 O 0.7935 0.5000 0.5562
16 O 0.9486 0.5000 0.8915

(5)
Density functional theory data (GGA-PBE) for a relaxed structure of Ba2EuMgCu3O7.

Results
As for the symmetry: Pm (6). The calculation puts the size of the total moment at 0.44 μB/atom.

a b c (Å): 3.7672 3.9394 14.7256
angles (deg): 90.00 90.18 90.00
Fractional positions:
1 Ba 0.0000 0.0000 0.0000
2 Ba 0.0007 0.0000 0.3097
3 Eu 0.0005 0.0000 0.5660
4 Mg 0.0010 0.5000 0.8116
5 Cu 0.5008 0.5000 0.1508
6 Cu 0.5006 0.5000 0.4462
7 Cu 0.5008 0.5000 0.6732
8 O 0.0008 0.5000 0.4679
9 O 0.0009 0.5000 0.6802
10 O 0.5001 0.0000 0.4570
11 O 0.5008 0.5000 0.2818
12 O 0.5013 0.5000 0.8788
13 O 0.5016 0.0000 0.1112
14 O 0.5017 0.0000 0.6648

(6)
Density functional theory data (GGA-PBE) for a relaxed structure of Ba2EuMgCu4O8.

Results
As for the symmetry: Pm (6). The calculation puts the size of the total moment at 0.46 μB/atom.

a b c (Å): 3.9104 3.8237 16.9117
angles (deg): 90.00 96.48 90.00
Fractional positions:
1 Ba 0.0000 0.0000 0.0000
2 Ba 0.3221 0.0000 0.6360
3 Eu 0.2133 0.0000 0.4140
4 Mg 0.1231 0.0000 0.2276
5 Cu 0.4419 0.5000 0.8810
6 Cu 0.6484 0.5000 0.2787
7 Cu 0.7597 0.5000 0.5078
8 Cu 0.8836 0.5000 0.7620
9 O 0.1560 0.5000 0.2942
10 O 0.2548 0.5000 0.4976
11 O 0.3869 0.5000 0.7686
12 O 0.4968 0.5000 0.9922
13 O 0.6112 0.0000 0.2032
14 O 0.7520 0.0000 0.4920
15 O 0.8295 0.5000 0.6516
16 O 0.9394 0.5000 0.8757

(7)
Density functional theory data (GGA-PBE) for a relaxed structure of Ba4Eu2Cu6O13.

Results
As for the symmetry: Fmmm (69). The calculation puts the size of the total moment at 0.48 μB/atom.

a b c (Å): 12.7003 12.6779 5.5424
angles (deg): 77.61 77.16 25.23
Fractional positions:
1 Ba 0.1478 0.6618 0.8522
2 Ba 0.3382 0.8522 0.6618
3 Ba 0.6618 0.1478 0.3382
4 Ba 0.8522 0.3382 0.1478
5 Eu 0.0000 0.5000 0.0000
6 Eu 0.5000 0.0000 0.5000
7 Cu 0.0727 0.5705 0.4295
8 Cu 0.2388 0.7612 0.2388
9 Cu 0.4295 0.9273 0.0727
10 Cu 0.5705 0.0727 0.9273
11 Cu 0.7612 0.2388 0.7612
12 Cu 0.9273 0.4295 0.5705
13 O 0.0000 0.0000 0.0000
14 O 0.1848 0.1848 0.8152
15 O 0.1867 0.1867 0.3133
16 O 0.1963 0.6538 0.3462
17 O 0.3133 0.3133 0.1867
18 O 0.3132 0.3132 0.6868
19 O 0.3462 0.8037 0.1963
20 O 0.6538 0.1963 0.8037
21 O 0.6868 0.6868 0.3132
22 O 0.6867 0.6867 0.8133
23 O 0.8037 0.3462 0.6538
24 O 0.8133 0.8133 0.6867
25 O 0.8152 0.8152 0.1848

(8)
Density functional theory data (GGA-PBE) for a relaxed structure of BaEu2CuO5.

Results
As for the symmetry: Pnma (62). The calculation puts the size of the total moment at 1.44 μB/atom.

a b c (Å): 12.4710 5.8051 7.4819
angles (deg): 90.00 90.00 90.00
Fractional positions:
1 Ba 0.0949 0.2500 0.0689
2 Ba 0.4051 0.7500 0.5689
3 Ba 0.5949 0.2500 0.4311
4 Ba 0.9051 0.7500 0.9311
5 Eu 0.0730 0.7500 0.3908
6 Eu 0.2138 0.2500 0.6140
7 Eu 0.2862 0.7500 0.1140
8 Eu 0.4270 0.2500 0.8908
9 Eu 0.5730 0.7500 0.1092
10 Eu 0.7138 0.2500 0.8860
11 Eu 0.7862 0.7500 0.3860
12 Eu 0.9270 0.2500 0.6092
13 Cu 0.1610 0.7500 0.7811
14 Cu 0.3390 0.2500 0.2811
15 Cu 0.6610 0.7500 0.7189
16 Cu 0.8390 0.2500 0.2189
17 O 0.0686 0.5182 0.6739
18 O 0.0686 0.9818 0.6739
19 O 0.0972 0.7500 0.0781
20 O 0.2327 0.0132 0.3505
21 O 0.2327 0.4868 0.3505
22 O 0.2673 0.5132 0.8505
23 O 0.2673 0.9868 0.8505
24 O 0.4028 0.2500 0.5781
25 O 0.4314 0.0182 0.1739
26 O 0.4314 0.4818 0.1739
27 O 0.5686 0.5182 0.8261
28 O 0.5686 0.9818 0.8261
29 O 0.5972 0.7500 0.4219
30 O 0.7327 0.0132 0.1495
31 O 0.7327 0.4868 0.1495
32 O 0.7673 0.5132 0.6495
33 O 0.7673 0.9868 0.6495
34 O 0.9028 0.2500 0.9219
35 O 0.9314 0.0182 0.3261
36 O 0.9314 0.4818 0.3261

Calculated calculated formation energy, -1.954; -1.862; -1.797; -1.882; -1.941; -1.896; -2.064; -2.636 eV/atom (same order as the records).
Calculated mass density, 6088; 5724; 6113; 6171; 5726; 5506; 6462; 7171 kg/m³ (same order as the records).